(1)
This record from the Materials Project describes an optimized crystal structure of Ca5Sn4S13. The functional is GGA-PBE.

energy of formation from the pure elements: -102.79 kJ/mol of atoms
V: 545.3 Å³/f.u.

Cell: 21.888 21.888 21.888 Å, 166.82 166.82 18.69°
Sites, in units of the cell vectors:
1 Ca 0.000 0.000 0.000
2 Ca 0.104 0.104 0.000
3 Ca 0.205 0.205 0.000
4 Ca 0.795 0.795 0.000
5 Ca 0.896 0.896 0.000
6 Sn 0.323 0.323 0.000
7 Sn 0.442 0.442 0.000
8 Sn 0.558 0.558 0.000
9 Sn 0.677 0.677 0.000
10 S 0.057 0.557 0.500
11 S 0.164 0.664 0.500
12 S 0.268 0.268 0.000
13 S 0.336 0.836 0.500
14 S 0.385 0.385 0.000
15 S 0.443 0.943 0.500
16 S 0.500 0.500 0.000
17 S 0.557 0.057 0.500
18 S 0.615 0.615 0.000
19 S 0.664 0.164 0.500
20 S 0.732 0.732 0.000
21 S 0.836 0.336 0.500
22 S 0.943 0.443 0.500

---

(2)
This record from the Materials Project describes an optimized crystal structure of Co2Si. The functional is GGA-PBE.

energy of formation from the pure elements: -41.83 kJ/mol of atoms
V: 31.9 Å³/f.u.

Cell: 4.885 3.712 7.046 Å, 90.00 90.00 90.00°
Sites, in units of the cell vectors:
1 Co 0.037 0.250 0.218
2 Co 0.174 0.250 0.564
3 Co 0.326 0.750 0.064
4 Co 0.463 0.750 0.718
5 Co 0.537 0.250 0.282
6 Co 0.674 0.250 0.936
7 Co 0.826 0.750 0.436
8 Co 0.963 0.750 0.782
9 Si 0.203 0.250 0.894
10 Si 0.297 0.750 0.394
11 Si 0.703 0.250 0.606
12 Si 0.797 0.750 0.106

---

(3)
This record from the Materials Project describes an optimized crystal structure of LiTaS2. The functional is GGA-PBE.

energy of formation from the pure elements: -147.22 kJ/mol of atoms
V: 63.3 Å³/f.u.

Cell: 3.361 3.361 12.947 Å, 90.00 90.00 120.00°
Sites, in units of the cell vectors:
1 Li 0.000 0.000 0.000
2 Li 0.000 0.000 0.500
3 Ta 0.000 0.000 0.250
4 Ta 0.000 0.000 0.750
5 S 0.333 0.667 0.128
6 S 0.333 0.667 0.372
7 S 0.667 0.333 0.628
8 S 0.667 0.333 0.872